# 1
Entry from the Materials Project database: crystalline Zr2N2O at its relaxed geometry (PBE).

a = 8.8681 Å, b = 8.8676 Å, c = 8.8740 Å
α = 109.28°, β = 109.44°, γ = 109.54°
Positions (direct):
Zr 0.9676 0.7502 0.7142
Zr 0.5004 0.5005 0.4982
Zr 0.7791 0.5280 0.2475
Zr 0.7183 0.9695 0.7494
Zr 0.2504 0.2108 0.9613
Zr 0.2523 0.7043 0.4652
Zr 0.9862 0.0006 0.4991
Zr 0.5415 0.2517 0.7844
Zr 0.4702 0.7476 0.2136
Zr 0.0030 0.4895 0.9937
Zr 0.7422 0.7894 0.0350
Zr 0.7485 0.2890 0.5366
Zr 0.2103 0.4677 0.7519
Zr 0.2929 0.0347 0.2510
Zr 0.5026 0.0029 0.0114
Zr 0.0308 0.2556 0.2901
N 0.7299 0.4952 0.4569
N 0.5335 0.2742 0.0389
N 0.9628 0.0066 0.7335
N 0.5100 0.7408 0.4682
N 0.9897 0.4605 0.2308
N 0.2282 0.9570 0.9703
N 0.4842 0.2632 0.5351
N 0.0138 0.5477 0.7763
N 0.7325 0.7620 0.2707
N 0.4674 0.7268 0.9516
N 0.7704 0.2293 0.7667
N 0.2373 0.4624 0.0134
N 0.9539 0.2238 0.4869
N 0.5445 0.0323 0.2726
N 0.2744 0.5113 0.5449
N 0.7746 0.0423 0.0307
O 0.4481 0.9663 0.7233
O 0.0553 0.7806 0.5184
O 0.0399 0.9909 0.2654
O 0.2628 0.2713 0.2283
O 0.2232 0.7739 0.2361
O 0.7611 0.5370 0.9817
O 0.7378 0.7213 0.7721
O 0.2686 0.2315 0.7246

Values from the calculation:
The total energy is -49.0 eV per formula unit.



# 2
Entry from the Materials Project database: crystalline Na3ScTiSiP2O12 at its relaxed geometry (PBE).

a = 15.5276 Å, b = 9.0089 Å, c = 8.9547 Å
α = 90.00°, β = 125.22°, γ = 90.00°
Positions (direct):
Na 0.2534 0.7276 0.9999
Na 0.7534 0.7724 0.4999
Na 0.7534 0.2276 0.9999
Na 0.2534 0.2724 0.4999
Na 0.5027 0.1030 0.7525
Na 0.5027 0.8970 0.2525
Na 0.0027 0.6030 0.7525
Na 0.0027 0.3970 0.2525
Na 0.1899 0.9335 0.2948
Na 0.1899 0.0665 0.7948
Na 0.6899 0.4335 0.2948
Na 0.6899 0.5665 0.7948
Sc 0.1057 0.7439 0.5646
Sc 0.1057 0.2561 0.0646
Sc 0.6057 0.2439 0.5646
Sc 0.6057 0.7561 0.0646
Ti 0.8973 0.7588 0.9394
Ti 0.8973 0.2412 0.4394
Ti 0.3973 0.2588 0.9394
Ti 0.3973 0.7412 0.4394
Si 0.6481 0.8911 0.7456
Si 0.6481 0.1089 0.2456
Si 0.1481 0.3911 0.7456
Si 0.1481 0.6089 0.2456
P 0.9958 0.9590 0.7545
P 0.9958 0.0410 0.2545
P 0.4958 0.4590 0.7545
P 0.4958 0.5410 0.2545
P 0.3536 0.9024 0.7538
P 0.3536 0.0976 0.2538
P 0.8536 0.4024 0.7538
P 0.8536 0.5976 0.2538
O 0.1531 0.5707 0.7462
O 0.8501 0.5767 0.7522
O 0.8501 0.4233 0.2522
O 0.1531 0.4293 0.2462
O 0.6531 0.0707 0.7462
O 0.3501 0.0767 0.7522
O 0.3501 0.9233 0.2522
O 0.6531 0.9293 0.2462
O 0.4328 0.5673 0.5851
O 0.5623 0.5480 0.9297
O 0.5623 0.4520 0.4297
O 0.4328 0.4327 0.0851
O 0.9328 0.0673 0.5851
O 0.0623 0.0480 0.9297
O 0.0623 0.9520 0.4297
O 0.9328 0.9327 0.0851
O 0.2568 0.8483 0.7452
O 0.7467 0.8064 0.7594
O 0.7467 0.1936 0.2594
O 0.2568 0.1517 0.2452
O 0.7568 0.3483 0.7452
O 0.2467 0.3064 0.7594
O 0.2467 0.6936 0.2594
O 0.7568 0.6517 0.2452
O 0.3532 0.8594 0.5826
O 0.6447 0.8412 0.9145
O 0.6447 0.1588 0.4145
O 0.3532 0.1406 0.0826
O 0.8532 0.3594 0.5826
O 0.1447 0.3412 0.9145
O 0.1447 0.6589 0.4145
O 0.8532 0.6406 0.0826
O 0.4533 0.8456 0.9301
O 0.5355 0.8229 0.5588
O 0.5355 0.1771 0.0588
O 0.4533 0.1544 0.4301
O 0.9533 0.3456 0.9301
O 0.0355 0.3229 0.5588
O 0.0355 0.6771 0.0588
O 0.9533 0.6544 0.4301
O 0.0708 0.8594 0.7384
O 0.9143 0.8574 0.7526
O 0.9143 0.1426 0.2526
O 0.0708 0.1406 0.2384
O 0.5708 0.3594 0.7384
O 0.4143 0.3574 0.7526
O 0.4143 0.6426 0.2526
O 0.5708 0.6406 0.2384

Values from the calculation:
The total energy is -145.9 eV per formula unit.



# 3
Entry from the Materials Project database: crystalline Be13W at its relaxed geometry (PBE).

a = 9.6406 Å, b = 9.6406 Å, c = 9.6406 Å
α = 60.00°, β = 60.00°, γ = 60.00°
Positions (direct):
Be 0.4975 0.4975 0.2662
Be 0.7388 0.2662 0.4975
Be 0.2662 0.7388 0.4975
Be 0.4975 0.2662 0.4975
Be 0.0112 0.2525 0.4838
Be 0.2525 0.2525 0.4838
Be 0.4975 0.4975 0.7388
Be 0.2662 0.4975 0.7388
Be 0.2525 0.4838 0.2525
Be 0.0112 0.4838 0.2525
Be 0.7388 0.4975 0.2662
Be 0.2525 0.0112 0.2525
Be 0.4838 0.0112 0.2525
Be 0.4975 0.7388 0.4975
Be 0.4838 0.2525 0.0112
Be 0.2525 0.2525 0.0112
Be 0.2662 0.4975 0.4975
Be 0.4975 0.2662 0.7388
Be 0.7388 0.4975 0.4975
Be 0.4975 0.7388 0.2662
Be 0.2525 0.4838 0.0112
Be 0.4838 0.2525 0.2525
Be 0.2525 0.0112 0.4838
Be 0.0112 0.2525 0.2525
Be 0.5000 0.5000 0.5000
Be 0.2500 0.2500 0.2500
Be 0.0000 0.0000 0.0000
Be 0.7500 0.7500 0.7500
Be 0.1460 0.7505 0.7505
Be 0.3529 0.7505 0.7505
Be 0.7505 0.3529 0.1460
Be 0.7505 0.7505 0.1460
Be 0.3971 0.9995 0.9995
Be 0.6040 0.9995 0.9995
Be 0.7505 0.1460 0.3529
Be 0.7505 0.7505 0.3529
Be 0.3529 0.1460 0.7505
Be 0.9995 0.3971 0.6040
Be 0.1460 0.3529 0.7505
Be 0.9995 0.6040 0.3971
Be 0.7505 0.1460 0.7505
Be 0.3971 0.9995 0.6040
Be 0.9995 0.9995 0.6040
Be 0.1460 0.7505 0.3529
Be 0.9995 0.6040 0.9995
Be 0.3971 0.6040 0.9995
Be 0.3529 0.7505 0.1460
Be 0.9995 0.3971 0.9995
Be 0.6040 0.3971 0.9995
Be 0.7505 0.3529 0.7505
Be 0.6040 0.9995 0.3971
Be 0.9995 0.9995 0.3971
W 0.8750 0.8750 0.8750
W 0.3750 0.8750 0.8750
W 0.8750 0.3750 0.8750
W 0.8750 0.8750 0.3750

Values from the calculation:
The value obtained for the excess energy over the best structure of this formula in the dataset is 0.0000 eV per atom.



# 4
Entry from the Materials Project database: crystalline Na3MgGeP3O12 at its relaxed geometry (PBE).

a = 15.2125 Å, b = 8.7784 Å, c = 8.7242 Å
α = 90.00°, β = 125.05°, γ = 90.00°
Positions (direct):
Na 0.2507 0.7299 0.9895
Na 0.7507 0.7701 0.4895
Na 0.7507 0.2299 0.9895
Na 0.2507 0.2701 0.4895
Na 0.5037 0.1069 0.7499
Na 0.5037 0.8931 0.2499
Na 0.0037 0.6069 0.7499
Na 0.0037 0.3931 0.2499
Na 0.1828 0.9395 0.2857
Na 0.1828 0.0605 0.7857
Na 0.6828 0.4395 0.2857
Na 0.6828 0.5605 0.7857
Mg 0.1041 0.7493 0.5644
Mg 0.1041 0.2507 0.0644
Mg 0.6041 0.2493 0.5644
Mg 0.6041 0.7507 0.0644
Ge 0.8966 0.7571 0.9421
Ge 0.8966 0.2429 0.4421
Ge 0.3966 0.2571 0.9421
Ge 0.3966 0.7429 0.4421
P 0.9948 0.9577 0.7568
P 0.9948 0.0423 0.2568
P 0.4948 0.4577 0.7568
P 0.4948 0.5423 0.2568
P 0.3564 0.9012 0.7607
P 0.6488 0.8881 0.7507
P 0.6488 0.1119 0.2507
P 0.3564 0.0988 0.2607
P 0.8564 0.4012 0.7607
P 0.1488 0.3881 0.7507
P 0.1488 0.6119 0.2507
P 0.8564 0.5988 0.2607
O 0.1551 0.5600 0.7392
O 0.8508 0.5834 0.7590
O 0.8508 0.4166 0.2590
O 0.1551 0.4400 0.2392
O 0.6551 0.0600 0.7392
O 0.3508 0.0834 0.7590
O 0.3508 0.9166 0.2590
O 0.6551 0.9400 0.2392
O 0.4244 0.5601 0.5756
O 0.5634 0.5510 0.9319
O 0.5634 0.4490 0.4319
O 0.4244 0.4399 0.0756
O 0.9244 0.0601 0.5756
O 0.0634 0.0510 0.9319
O 0.0634 0.9490 0.4319
O 0.9244 0.9399 0.0756
O 0.2573 0.8423 0.7443
O 0.7438 0.8057 0.7581
O 0.7438 0.1943 0.2581
O 0.2573 0.1577 0.2443
O 0.7573 0.3423 0.7443
O 0.2438 0.3057 0.7581
O 0.2438 0.6943 0.2581
O 0.7573 0.6577 0.2443
O 0.3560 0.8708 0.5786
O 0.6480 0.8433 0.9153
O 0.6480 0.1567 0.4153
O 0.3560 0.1292 0.0786
O 0.8560 0.3708 0.5786
O 0.1480 0.3433 0.9153
O 0.1480 0.6567 0.4153
O 0.8560 0.6292 0.0786
O 0.4585 0.8473 0.9358
O 0.5449 0.8178 0.5624
O 0.5449 0.1822 0.0624
O 0.4585 0.1527 0.4358
O 0.9585 0.3473 0.9358
O 0.0449 0.3178 0.5624
O 0.0449 0.6822 0.0624
O 0.9585 0.6527 0.4358
O 0.0696 0.8502 0.7421
O 0.9103 0.8545 0.7581
O 0.9103 0.1455 0.2581
O 0.0696 0.1498 0.2421
O 0.5696 0.3502 0.7421
O 0.4103 0.3545 0.7581
O 0.4103 0.6455 0.2581
O 0.5696 0.6498 0.2421

Values from the calculation:
The value obtained for the excess energy over the best structure of this formula in the dataset is 0.0000 eV per atom.



# 5
Entry from the Materials Project database: crystalline La3ReCl3O6 at its relaxed geometry (PBE).

a = 9.4795 Å, b = 9.4795 Å, c = 5.4604 Å
α = 90.00°, β = 90.00°, γ = 120.00°
Positions (direct):
La 0.5950 0.6864 0.7500
La 0.4050 0.3136 0.2500
La 0.0914 0.4050 0.7500
La 0.9086 0.5950 0.2500
La 0.3136 0.9086 0.7500
La 0.6864 0.0914 0.2500
Re 0.6667 0.3333 0.7500
Re 0.3333 0.6667 0.2500
Cl 0.8073 0.0478 0.7500
Cl 0.1927 0.9522 0.2500
Cl 0.2405 0.1927 0.7500
Cl 0.7595 0.8073 0.2500
Cl 0.9522 0.7595 0.7500
Cl 0.0478 0.2405 0.2500
O 0.8374 0.3637 0.9786
O 0.1626 0.6363 0.0214
O 0.5264 0.1626 0.9786
O 0.1626 0.6363 0.4786
O 0.4736 0.8374 0.0214
O 0.8374 0.3637 0.5214
O 0.6363 0.4736 0.9786
O 0.4736 0.8374 0.4786
O 0.3637 0.5264 0.0214
O 0.5264 0.1626 0.5214
O 0.3637 0.5264 0.4786
O 0.6363 0.4736 0.5214

Values from the calculation:
The total energy is -97.3 eV per formula unit.



# 6
Entry from the Materials Project database: crystalline PuAsO4 at its relaxed geometry (PBE).

a = 7.2121 Å, b = 6.7235 Å, c = 8.3100 Å
α = 54.48°, β = 90.00°, γ = 90.00°
Positions (direct):
Pu 0.3437 0.8116 0.2854
Pu 0.6563 0.1884 0.7146
Pu 0.8437 0.1884 0.2146
Pu 0.1563 0.8116 0.7854
As 0.8357 0.6932 0.1963
As 0.1643 0.3068 0.8037
As 0.3357 0.3068 0.3037
As 0.6643 0.6932 0.6963
O 0.0040 0.8302 0.2508
O 0.9960 0.1698 0.7492
O 0.5040 0.1698 0.2492
O 0.4960 0.8302 0.7508
O 0.8932 0.6497 0.0166
O 0.1068 0.3503 0.9834
O 0.3932 0.3503 0.4834
O 0.6068 0.6497 0.5166
O 0.6559 0.9022 0.1057
O 0.3441 0.0978 0.8943
O 0.1559 0.0978 0.3943
O 0.8441 0.9022 0.6057
O 0.7826 0.3922 0.3808
O 0.2174 0.6078 0.6192
O 0.2826 0.6078 0.1192
O 0.7174 0.3922 0.8808

Values from the calculation:
The total energy is -51.1 eV per formula unit.



# 7
Entry from the Materials Project database: crystalline ZrB4H16 at its relaxed geometry (PBE).

a = 6.2789 Å, b = 6.2789 Å, c = 6.2789 Å
α = 90.00°, β = 90.00°, γ = 90.00°
Positions (direct):
Zr 0.0000 0.0000 0.0000
B 0.2142 0.2142 0.7858
B 0.2142 0.7858 0.2142
B 0.7858 0.2142 0.2142
B 0.7858 0.7858 0.7858
H 0.2435 0.2435 0.9806
H 0.2435 0.0194 0.7565
H 0.0194 0.2435 0.7565
H 0.2435 0.7565 0.0194
H 0.2435 0.9806 0.2435
H 0.0194 0.7565 0.2435
H 0.7565 0.2435 0.0194
H 0.7565 0.0194 0.2435
H 0.9806 0.2435 0.2435
H 0.7565 0.7565 0.9806
H 0.7565 0.9806 0.7565
H 0.9806 0.7565 0.7565
H 0.3239 0.3239 0.6761
H 0.3239 0.6761 0.3239
H 0.6761 0.3239 0.3239
H 0.6761 0.6761 0.6761

Values from the calculation:
The total energy is -93.0 eV per formula unit.